[1]
The following is a GGA+U calculation of an optimized crystal structure of MnV4CoO12, from the Materials Project database.

POSCAR file:
```
MnV4CoO12
1.0
4.581 5.077 0.000
-4.581 5.077 0.000
0.000 2.077 5.506
Mn V Co O
1 4 1 12
Cartesian
-3.800 5.077 0.000
0.846 8.199 2.845
-0.832 7.165 0.072
0.846 4.032 2.661
-0.832 5.066 5.434
3.771 6.115 2.753
0.740 9.796 2.215
2.435 7.659 2.986
-0.752 10.808 4.893
-0.015 7.148 1.679
2.435 4.571 2.520
0.017 8.144 4.438
-0.015 5.082 3.827
-2.424 6.665 0.235
0.017 4.086 1.068
0.740 2.434 3.291
-2.424 5.566 5.271
-0.752 1.423 0.613
```

## Properties
Total DFT energy (no corrections) ... -133.55 eV for the cell shown
Total moment ... 8.00 μB per cell

***

[2]
The following is a GGA+U calculation of an optimized crystal structure of Eu2HfVO6, from the Materials Project database.

POSCAR file:
```
Eu2HfVO6
1.0
2.892 -1.069 -4.775
-2.410 0.958 -5.057
1.817 4.298 -3.245
Eu Hf V O
2 1 1 6
Cartesian
0.575 1.047 -3.269
1.724 3.140 -9.808
0.000 0.000 0.000
1.149 2.094 -6.539
2.002 0.546 -5.676
0.297 3.641 -7.402
2.891 2.649 -7.263
-0.592 1.538 -5.814
0.823 1.015 -8.150
1.476 3.172 -4.927
```

## Properties
Total DFT energy (no corrections) ... -96.54 eV for the cell shown
Total moment ... 15.00 μB per cell

***

[3]
The following is a GGA+U calculation of an optimized crystal structure of Li2Ti3CoO8, from the Materials Project database.

POSCAR file:
```
Li2Ti3CoO8
1.0
-5.238 1.802 -2.158
-4.642 -3.164 8.630
1.394 8.812 3.982
Li Ti Co O
8 12 4 32
Cartesian
-0.307 6.790 6.422
-5.247 6.104 9.654
-2.850 3.810 1.913
-7.788 3.132 5.149
1.390 8.802 3.979
-3.549 8.119 7.214
-9.184 3.032 8.459
-4.243 3.714 5.222
-5.572 1.944 2.819
-5.281 -0.546 8.218
-0.487 1.367 2.318
-5.424 0.683 5.550
-2.923 1.027 3.908
-7.865 0.340 7.148
-0.721 6.488 3.027
-5.664 5.812 6.271
-3.160 6.155 4.628
-8.100 5.476 7.868
-3.305 7.383 1.962
-3.009 4.904 7.366
-5.786 2.592 8.051
-2.013 9.111 4.285
-0.857 3.324 4.859
-6.943 8.478 7.565
-6.639 1.670 1.136
-6.343 -0.816 6.531
-2.550 5.701 2.767
-2.253 3.218 8.162
-9.439 1.414 7.724
-4.502 2.093 4.495
-3.805 6.500 6.480
1.134 7.182 3.250
-4.969 5.341 4.456
-4.674 2.866 9.857
0.111 4.845 3.781
-4.830 4.167 7.018
-1.461 1.123 0.598
-6.401 0.433 3.835
-2.485 4.488 5.480
-7.424 3.812 8.724
-4.055 0.763 2.300
-8.998 0.074 5.532
-4.211 2.067 -0.537
-3.919 -0.421 4.856
-4.809 3.472 1.865
-4.512 0.990 7.260
-7.022 3.164 3.314
-6.719 0.690 8.707
-1.914 2.477 3.056
-6.857 1.796 6.296
-1.414 7.036 4.784
-6.353 6.349 8.020
-1.548 8.147 2.375
-1.248 5.659 7.762
-3.757 7.840 3.821
-3.461 5.355 9.211
```

## Properties
Energy relative to the lowest polymorph listed for this composition ... 0.057 eV/atom
Total DFT energy (no corrections) ... -432.17 eV for the cell shown
Total moment ... 12.00 μB per cell

***

[4]
The following is a GGA+U calculation of an optimized crystal structure of Mn15O32, from the Materials Project database.

POSCAR file:
```
Mn15O32
1.0
2.879 5.055 0.000
-2.935 5.018 -0.062
-0.333 -3.159 19.063
Mn O
15 32
Cartesian
-1.741 0.993 16.650
-1.696 4.312 11.860
-1.618 2.594 7.105
-0.304 3.517 16.650
-0.278 5.178 14.254
-0.257 6.840 11.860
-0.128 1.746 4.736
-0.154 0.089 7.132
-0.063 3.383 2.360
0.003 5.019 -0.017
1.160 1.012 16.677
1.210 4.330 11.891
1.283 2.613 7.132
1.377 5.910 2.359
2.698 3.483 9.527
-1.844 2.722 10.751
-1.863 0.859 13.002
-1.819 4.181 8.217
-1.574 4.443 15.503
-1.597 2.582 17.754
-1.398 2.470 3.455
-1.245 4.136 1.079
-0.238 5.155 10.891
-0.323 5.204 17.616
-0.307 6.668 15.503
-0.294 0.364 17.775
-0.287 1.836 15.676
-0.251 3.689 13.002
-0.253 0.222 3.640
-0.207 -0.083 10.780
-0.207 7.012 8.216
-0.171 1.770 8.105
-0.164 3.242 6.007
-0.109 1.735 1.418
-0.191 8.476 6.104
-0.220 -1.549 12.891
-0.016 5.031 3.301
0.128 6.543 1.079
0.989 4.456 15.539
0.975 2.593 17.775
1.120 2.629 3.640
-1.795 6.042 5.966
1.273 4.295 1.264
1.405 2.747 10.780
1.386 0.883 13.031
1.445 6.068 6.006
1.432 4.204 8.242
```

## Properties
Energy relative to the lowest polymorph listed for this composition ... 0.020 eV/atom
Total DFT energy (no corrections) ... -324.30 eV for the cell shown
Total moment ... 46.23 μB per cell

***

Number 1: ρ 3.30 g cm⁻³. Number 2: ρ 8.05 g cm⁻³. Number 3: ρ 3.82 g cm⁻³. Number 4: ρ 3.98 g cm⁻³.